No. 1
AlCu2Re2: relaxed, PBE.

Summary:
Formation energy   0.381 eV per atom
Total DFT energy (no corrections)   -6.986 eV/atom

Structure (POSCAR):
```
AlCu2Re2
1.0
-5.6961 1.2346 0.9888
-1.5618 -4.9753 -2.7848
0.1658 -1.9485 3.3881
Al Cu Re
2 4 4
Cartesian
0.0000 0.0000 0.0000
-3.6289 -1.8703 -0.8980
-5.4894 -0.7440 -0.1592
-2.2855 -0.2277 -0.0191
-4.9724 -3.5130 -1.7769
-1.7685 -2.9966 -1.6368
-3.9525 -0.9689 1.8946
-1.3744 -2.4459 0.9190
-5.7177 -3.2432 0.6731
-3.1395 -4.7202 -0.3025
```

No. 2
Al7Cu2Rh: relaxed, PBE.

Summary:
Formation energy   -0.380 eV per atom
Total DFT energy (no corrections)   -4.558 eV/atom

Structure (POSCAR):
```
Al7Cu2Rh
1.0
-6.2851 -1.1334 0.8632
1.0150 -6.3023 -0.8846
2.2928 -1.6667 14.5048
Al Cu Rh
28 8 4
Cartesian
0.2954 -4.6759 3.1807
-3.2726 -4.4265 11.3027
-4.4190 -3.5932 4.0503
-1.4815 -1.7537 3.7973
1.4417 -5.5093 10.4331
-1.4958 -7.3488 10.6861
-2.6422 -6.5154 3.4337
-0.3351 -2.5870 11.0497
0.2923 -0.2125 1.8492
2.0005 -1.4542 12.6556
-1.7809 -4.3387 5.3925
-1.1963 -4.7637 9.0909
-0.6046 -2.9900 1.2225
-2.3727 -6.1124 13.2610
-4.2177 -4.7712 1.5889
-3.2645 -2.0792 1.7476
-0.0458 -6.7658 5.2887
1.2404 -4.3312 12.8945
0.2873 -7.0232 12.7358
-2.9315 -2.3367 9.1947
-1.5577 -5.6820 1.0638
-3.3793 -2.0112 6.3620
-1.4195 -3.4204 13.4196
0.4020 -7.0913 8.1214
-4.1062 -6.1075 6.0062
1.1289 -2.9949 8.4772
0.6812 -2.6694 5.6445
-3.6584 -6.4330 8.8389
-1.5866 -0.8982 0.1476
-3.6835 -6.5376 -0.1690
-5.4202 -2.7134 0.5450
0.2895 -4.8426 6.9271
0.1502 -4.7223 -0.5664
-3.2668 -4.2598 7.5563
-1.8101 -6.3452 7.0864
-1.1672 -2.7573 7.3970
0.6834 -0.4968 4.3234
1.6094 -1.1699 10.1814
-2.1720 -4.0544 2.9184
-0.8053 -5.0480 11.5651
```

No. 3
Al14Cu3S24: relaxed, PBE.

Summary:
Formation energy   -1.189 eV per atom
Total DFT energy (no corrections)   -4.895 eV/atom

Structure (POSCAR):
```
Al14Cu3S24
1.0
-5.8000 -1.5158 -3.6679
-3.2974 -6.1149 1.0609
-9.7498 7.3678 12.3256
Al Cu S
14 3 24
Cartesian
-6.2849 -4.3083 1.6538
-6.5133 0.6778 6.6509
-12.5105 4.1718 7.9302
-4.6086 -3.7701 -1.2278
-4.8135 1.2532 3.7663
-14.1176 -1.4592 6.0522
-7.4821 -2.1081 -0.6084
-7.7232 2.9015 4.3646
-11.2038 1.7704 10.3993
-4.7059 -1.3825 1.1458
-14.2335 0.9766 8.4825
-10.4345 -4.1734 1.4632
-10.5754 0.8254 6.3995
-10.8604 5.7930 11.3818
-7.9864 -6.0550 -1.6625
-8.2501 -1.0607 3.3346
-8.3955 3.9292 8.2645
-6.8169 -4.3848 -0.6569
-7.0231 0.6084 4.3085
-16.3647 -2.0157 6.7002
-4.0764 -3.6696 1.0732
-10.0974 -0.2015 2.3853
-13.6090 -1.2930 8.4192
-6.9142 -2.0220 1.6926
-7.1726 2.9630 6.6777
-16.4517 0.3443 9.0415
-5.2580 -1.4982 -1.1594
-8.7838 -2.6155 4.8674
-14.7856 0.8693 6.1959
-4.0423 -1.1197 3.4928
-10.0667 2.3690 4.8479
-13.5867 1.2547 10.8674
-2.4032 -0.6001 0.6882
-11.6959 -3.2287 3.0496
-11.9608 1.7789 8.0601
-5.2037 1.0146 1.2983
-8.7431 -0.0635 7.3489
-14.7549 3.4014 8.6601
-2.5022 1.7337 3.0103
-11.8244 -0.8860 5.3960
-12.0469 4.1069 10.3699
```

No. 4
ScAlCu: relaxed, PBE.

Summary:
Formation energy   -0.413 eV per atom
Total DFT energy (no corrections)   -5.139 eV/atom

Structure (POSCAR):
```
ScAlCu
1.0
2.6356 -4.4700 0.0000
2.6356 4.4700 0.0000
0.0000 0.0000 8.3881
Sc Al Cu
4 4 4
Cartesian
2.6356 1.4921 1.6484
2.6356 -1.4923 2.6517
2.6356 -1.4923 5.7364
2.6356 1.4921 6.7397
2.6356 -4.4364 2.1860
2.6356 -4.4364 6.2022
3.9164 -0.7887 0.0000
1.3547 -0.7887 0.0000
2.6356 -2.9664 0.0000
1.3559 0.7668 4.1941
3.9152 0.7668 4.1941
2.6356 2.9427 4.1941
```

No. 5
AlCuSe2: relaxed, PBE.

Summary:
Maximum piezoelectric response   0.11 C/m²
Formation energy   -0.862 eV per atom
Total DFT energy (no corrections)   -4.335 eV/atom

Structure (POSCAR):
```
AlCuSe2
1.0
-2.8213 2.8213 5.5714
2.8213 -2.8213 5.5714
2.8213 2.8213 -5.5714
Al Cu Se
2 2 4
Cartesian
0.0000 0.0000 5.5714
2.8213 0.0000 2.7857
0.0000 0.0000 0.0000
0.0000 2.8213 2.7857
1.4107 1.4210 -1.3928
-1.4003 1.4107 6.9642
4.2216 1.4107 1.3928
1.4107 1.4003 4.1785
```

No. 6
Al5CuSe8: relaxed, PBE.

Summary:
Maximum piezoelectric response   0.07 C/m²
Formation energy   -1.029 eV per atom
Total DFT energy (no corrections)   -4.387 eV/atom

Structure (POSCAR):
```
Al5CuSe8
1.0
0.0000 5.3128 5.3128
5.3128 0.0000 5.3128
5.3128 5.3128 0.0000
Al Cu Se
5 1 8
Cartesian
2.6564 2.6564 2.6564
3.9091 6.7165 3.9091
6.7165 3.9091 3.9091
3.9091 3.9091 6.7165
6.7165 6.7165 6.7165
0.0000 0.0000 0.0000
4.0796 4.0796 4.0796
6.5460 6.5460 4.0796
4.0796 6.5460 6.5460
6.5460 4.0796 6.5460
6.7071 9.2313 6.7071
9.2313 6.7071 6.7071
6.7071 6.7071 9.2313
9.2313 9.2313 9.2313
```

No. 7
SrAlCu3Se4: relaxed, PBE.

Summary:
Formation energy   -0.827 eV per atom
Total DFT energy (no corrections)   -4.141 eV/atom

Structure (POSCAR):
```
SrAlCu3Se4
1.0
-5.5769 -2.3571 0.4488
2.1888 -4.5320 3.3955
-0.9833 3.2809 5.0128
Sr Al Cu Se
1 1 3 4
Cartesian
-2.1857 -1.8041 4.4286
0.0000 0.0000 0.0000
1.0944 -2.2660 1.6978
-0.4916 1.6404 2.5064
-2.7884 -1.1786 0.2244
-0.9835 -0.8118 1.9927
-2.8470 -4.6010 4.1072
-0.3204 -1.4999 6.6175
-4.5917 -0.3037 4.9968
```

No. 8
SmAl8Cu4: relaxed, PBE.

Summary:
Formation energy   -0.317 eV per atom
Total DFT energy (no corrections)   -4.246 eV/atom

Structure (POSCAR):
```
SmAl8Cu4
1.0
1.4719 -5.8022 -3.1339
2.6688 3.4699 5.1469
-5.7495 -1.9222 2.9834
Sm Al Cu
1 8 4
Cartesian
0.0000 0.0000 0.0000
-1.0739 0.5395 2.8341
-1.4912 -2.6926 -0.0525
-2.7865 -5.0317 -0.0980
-2.0068 1.0082 5.2961
1.3921 -0.8254 2.7964
1.1285 -2.8667 0.9734
-2.7375 -1.3877 4.0230
-3.0010 -3.4291 2.1999
-2.8748 -0.9611 1.4917
1.3344 1.7350 2.5734
0.7359 -2.9011 -1.5669
-0.8045 -2.1272 2.4982
```

No. 9
SmAl3Cu: relaxed, PBE.

Summary:
Formation energy   -0.466 eV per atom
Total DFT energy (no corrections)   -4.477 eV/atom

Structure (POSCAR):
```
SmAl3Cu
1.0
-2.0934 2.0934 5.3083
2.0934 -2.0934 5.3083
2.0934 2.0934 -5.3083
Sm Al Cu
1 3 1
Cartesian
0.0000 0.0000 10.5481
0.0000 2.0934 2.5685
2.0934 0.0000 2.5685
0.0000 0.0000 4.2533
0.0000 0.0000 6.6031
```

No. 10
TaAlCu: relaxed, PBE.

Summary:
Formation energy   -0.223 eV per atom
Total DFT energy (no corrections)   -6.791 eV/atom

Structure (POSCAR):
```
TaAlCu
1.0
-2.4549 3.7011 2.4358
3.7087 1.1337 -3.2516
-5.2801 0.3752 -5.8915
Ta Al Cu
4 4 4
Cartesian
-3.3832 3.0509 -2.7787
-0.6305 2.1463 -3.8965
1.2900 2.0098 -1.7536
-5.3475 3.1905 -4.9705
-3.1165 1.2960 -5.1101
-1.3007 1.8474 -6.7023
-2.5053 3.6635 -5.5070
-0.9062 3.9181 -1.6002
-2.7182 3.3617 -0.0117
-1.5208 1.5563 -1.1998
-2.6364 0.1923 -2.9492
-5.2760 0.3798 -5.8944
```

No. 11
TaAlCu: relaxed, PBE.

Summary:
Formation energy   -0.238 eV per atom
Total DFT energy (no corrections)   -6.806 eV/atom

Structure (POSCAR):
```
TaAlCu
1.0
4.6291 1.2263 1.3696
1.1087 0.1563 4.8533
2.1367 -7.8012 -0.2369
Ta Al Cu
4 4 4
Cartesian
3.1214 -3.9202 1.9502
4.7315 -2.4668 4.0237
3.9464 0.3998 4.1108
3.9254 -6.8558 1.8610
6.7487 -2.4240 6.0752
5.7358 1.2741 6.1875
5.8471 -4.7745 2.6600
4.1445 -5.2920 4.3449
6.4024 -4.6943 5.0280
2.0554 -1.6368 3.3381
3.7405 -1.1246 1.6706
1.5172 -1.7134 1.0069
```

No. 12
AlCuTe2: relaxed, PBE.

Summary:
Maximum piezoelectric response   0.05 C/m²
Formation energy   -0.550 eV per atom
Total DFT energy (no corrections)   -3.872 eV/atom

Structure (POSCAR):
```
AlCuTe2
1.0
-2.5510 -0.5222 6.9490
-7.0534 -2.3001 -0.1653
6.1311 -2.6770 -3.2112
Al Cu Te
2 2 4
Cartesian
-2.8623 -3.1941 0.0076
-4.8022 -1.4112 3.3918
-0.6110 -2.3052 3.5648
0.0000 0.0000 0.0000
-0.5280 -2.3531 0.9679
-2.4446 -0.6420 4.3553
1.3724 -4.1517 -2.4788
-5.3464 -3.8517 4.3004
```